LiZn4Sn4O8, relaxed, DFT GGA-PBE; formation energy from the elements = -1.583 eV per atom; space-group type = No. 1; energy above the most stable polymorph in this dataset = 0 meV/atom
1.0
3.467 0.000 0.000
-1.723 9.127 0.000
-1.711 -2.288 8.952
Li Zn Sn O
1 4 4 8
Direct
0.000 0.000 0.000 Li
0.407 0.967 0.696 Zn
0.498 0.319 0.514 Zn
0.666 0.680 0.485 Zn
0.748 0.032 0.303 Zn
0.045 0.739 0.176 Sn
0.118 0.260 0.823 Sn
0.287 0.628 0.779 Sn
0.882 0.371 0.220 Sn
0.167 0.978 0.190 O
0.257 0.751 0.597 O
0.493 0.475 0.341 O
0.508 0.189 0.671 O
0.653 0.810 0.327 O
0.675 0.524 0.659 O
0.908 0.248 0.402 O
0.991 0.021 0.809 O

LiZn4Sn4O8, relaxed, DFT GGA-PBE; formation energy from the elements = -1.548 eV per atom; space-group type = No. 2; energy above the most stable polymorph in this dataset = 35 meV/atom
1.0
3.288 0.000 0.000
0.700 8.916 0.000
1.630 0.287 8.815
Li Zn Sn O
1 4 4 8
Direct
0.000 0.000 0.000 Li
0.133 0.251 0.628 Zn
0.361 0.048 0.258 Zn
0.639 0.952 0.742 Zn
0.867 0.749 0.372 Zn
0.053 0.682 0.021 Sn
0.286 0.619 0.660 Sn
0.714 0.381 0.340 Sn
0.947 0.318 0.979 Sn
0.103 0.072 0.761 O
0.251 0.220 0.398 O
0.370 0.616 0.412 O
0.451 0.164 0.051 O
0.549 0.836 0.949 O
0.630 0.384 0.588 O
0.749 0.780 0.602 O
0.897 0.928 0.239 O

LiZn4SnO8, relaxed, DFT GGA-PBE; formation energy from the elements = -1.618 eV per atom; space-group type = No. 186
1.0
6.068 0.000 0.000
-3.034 5.255 0.000
0.000 0.000 9.877
Li Zn Sn O
2 8 2 16
Direct
0.000 0.000 0.000 Li
0.000 0.000 0.500 Li
0.168 0.336 0.284 Zn
0.168 0.832 0.284 Zn
0.333 0.667 0.596 Zn
0.336 0.168 0.784 Zn
0.664 0.832 0.284 Zn
0.667 0.333 0.096 Zn
0.832 0.168 0.784 Zn
0.832 0.664 0.784 Zn
0.333 0.667 0.004 Sn
0.667 0.333 0.504 Sn
0.000 0.000 0.188 O
0.000 0.000 0.688 O
0.030 0.515 0.150 O
0.162 0.325 0.901 O
0.162 0.838 0.901 O
0.325 0.162 0.401 O
0.333 0.667 0.390 O
0.485 0.515 0.150 O
0.485 0.970 0.150 O
0.515 0.030 0.650 O
0.515 0.485 0.650 O
0.667 0.333 0.890 O
0.675 0.838 0.901 O
0.838 0.162 0.401 O
0.838 0.675 0.401 O
0.970 0.485 0.650 O

LiZn4Sn4O8, relaxed, DFT GGA-PBE; formation energy from the elements = -1.520 eV per atom; space-group type = No. 1; energy above the most stable polymorph in this dataset = 63 meV/atom
1.0
3.401 0.000 0.000
1.343 8.388 0.000
1.659 0.533 9.461
Li Zn Sn O
1 4 4 8
Direct
0.000 0.000 0.000 Li
0.102 0.194 0.549 Zn
0.349 0.623 0.715 Zn
0.605 0.456 0.351 Zn
0.860 0.359 0.910 Zn
0.159 0.673 0.064 Sn
0.322 0.128 0.220 Sn
0.607 0.001 0.777 Sn
0.894 0.791 0.458 Sn
0.152 0.322 0.364 O
0.304 0.500 0.901 O
0.460 0.615 0.498 O
0.648 0.053 0.556 O
0.658 0.558 0.157 O
0.814 0.754 0.687 O
0.857 0.204 0.088 O
0.916 0.226 0.750 O

LiZn4Sn4O8, relaxed, DFT GGA-PBE; formation energy from the elements = -1.559 eV per atom; space-group type = No. 1; energy above the most stable polymorph in this dataset = 24 meV/atom
1.0
3.337 0.000 0.000
-1.665 8.588 0.000
-1.666 -1.894 9.390
Li Zn Sn O
1 4 4 8
Direct
0.000 0.000 0.000 Li
0.040 0.211 0.871 Zn
0.176 0.025 0.328 Zn
0.304 0.914 0.695 Zn
0.930 0.331 0.533 Zn
0.393 0.693 0.093 Sn
0.574 0.705 0.444 Sn
0.666 0.556 0.780 Sn
0.777 0.346 0.209 Sn
0.003 0.867 0.138 O
0.054 0.362 0.749 O
0.162 0.233 0.091 O
0.181 0.886 0.475 O
0.468 0.070 0.867 O
0.507 0.466 0.551 O
0.725 0.778 0.673 O
0.758 0.165 0.351 O

LiZn4Sn4O8, relaxed, DFT GGA-PBE; formation energy from the elements = -1.575 eV per atom; space-group type = No. 1; energy above the most stable polymorph in this dataset = 8 meV/atom
1.0
3.359 0.000 0.000
1.521 8.855 0.000
1.575 0.044 9.153
Li Zn Sn O
1 4 4 8
Direct
0.000 0.000 0.000 Li
0.166 0.039 0.686 Zn
0.398 0.982 0.255 Zn
0.679 0.777 0.886 Zn
0.863 0.268 0.097 Zn
0.164 0.614 0.138 Sn
0.449 0.360 0.814 Sn
0.677 0.298 0.429 Sn
0.874 0.742 0.526 Sn
0.175 0.195 0.532 O
0.224 0.657 0.907 O
0.334 0.377 0.052 O
0.367 0.857 0.433 O
0.511 0.923 0.051 O
0.715 0.914 0.703 O
0.835 0.122 0.258 O
0.999 0.197 0.869 O